The following is a DFT calculation (PBE+U) of a geometry-optimized Na2CrNiF7 structure.

POSCAR file:
```
Na2CrNiF7
1.0
-1.914 0.987 7.061
1.459 7.207 -0.663
-4.780 -3.333 -4.533
Na Cr Ni F
4 2 2 14
Direct
0.500 0.500 0.000 Na
0.000 0.000 0.000 Na
0.500 0.500 0.500 Na
0.500 0.000 0.000 Na
0.000 0.500 0.500 Cr
0.500 0.000 0.500 Cr
0.000 0.500 0.000 Ni
0.000 0.000 0.500 Ni
0.361 0.091 0.271 F
0.894 0.750 0.144 F
0.321 0.083 0.636 F
0.679 0.917 0.364 F
0.053 0.417 0.238 F
0.947 0.583 0.762 F
0.680 0.409 0.271 F
0.639 0.909 0.729 F
0.106 0.250 0.856 F
0.053 0.815 0.636 F
0.947 0.185 0.364 F
0.321 0.685 0.238 F
0.320 0.591 0.729 F
0.679 0.315 0.762 F
```

Calculated values
symmetry: Imma
ΔE_f: -3044 kJ/mol of formula units
calculated volume: 12.97 Å³/atom
raw total energy: -5.023 eV per atom

The following is a DFT calculation (PBE+U) of a geometry-optimized Ba2V2O5 structure.

POSCAR file:
```
Ba2V2O5
1.0
-1.779 7.204 -3.861
-2.865 -1.859 -2.148
-2.708 0.866 2.863
Ba V O
2 2 5
Direct
0.000 0.000 0.000 Ba
0.500 0.000 0.000 Ba
0.261 0.500 0.500 V
0.739 0.500 0.500 V
0.227 0.500 0.000 O
0.773 0.500 0.000 O
0.500 0.500 0.500 O
0.227 0.000 0.500 O
0.773 0.000 0.500 O
```

Calculated values
symmetry: P4/mmm
size of the total moment: 4.002 μB/f.u.
ΔE_f: -2321 kJ/mol of formula units
calculated volume: 15.13 Å³/atom
raw total energy: -7.107 eV per atom

The following is a DFT calculation (PBE+U) of a geometry-optimized FeO2 structure.

POSCAR file:
```
FeO2
1.0
3.020 5.042 0.000
-3.020 5.042 0.000
0.000 0.421 14.304
Fe O
12 24
Direct
0.167 0.663 0.170 Fe
0.003 0.003 0.377 Fe
0.998 0.998 0.005 Fe
0.663 0.167 0.170 Fe
0.500 0.998 0.499 Fe
0.328 0.328 0.705 Fe
0.998 0.500 0.499 Fe
0.828 0.337 0.828 Fe
0.671 0.671 0.288 Fe
0.337 0.828 0.828 Fe
0.997 0.997 0.624 Fe
0.341 0.341 0.961 Fe
0.276 0.841 0.085 O
0.988 0.988 0.249 O
0.841 0.276 0.085 O
0.849 0.849 0.088 O
0.679 0.146 0.422 O
0.501 0.501 0.236 O
0.323 0.323 0.576 O
0.517 0.002 0.243 O
0.146 0.679 0.422 O
0.347 0.347 0.092 O
0.175 0.175 0.423 O
0.002 0.517 0.243 O
0.015 0.478 0.758 O
0.824 0.824 0.577 O
0.856 0.322 0.578 O
0.478 0.015 0.758 O
0.659 0.659 0.888 O
0.679 0.679 0.421 O
0.495 0.495 0.758 O
0.322 0.856 0.578 O
0.155 0.155 0.921 O
0.173 0.698 0.922 O
0.015 0.015 0.758 O
0.698 0.173 0.922 O
```

Calculated values
symmetry: Cm
size of the total moment: 4.003 μB/f.u.
ΔE_f: -313 kJ/mol of formula units
calculated volume: 12.10 Å³/atom
raw total energy: -5.994 eV per atom